No. 1
VASP calculation (GGA-PBE) on a geometry-optimized CsGaH24S2O20 structure.

Cell: 12.433 12.433 12.433 Å, 90.00 90.00 90.00°
Fractional positions:
S 0.828 0.328 0.172
O 0.053 0.211 0.342
O 0.711 0.158 0.947
H 0.294 0.065 0.522
O 0.502 0.001 0.659
H 0.278 0.491 0.731
Ga 0.000 0.000 0.000
O 0.342 0.053 0.211
H 0.978 0.794 0.065
O 0.242 0.758 0.258
O 0.336 0.438 0.280
H 0.222 0.181 0.628
O 0.664 0.938 0.220
O 0.998 0.999 0.159
H 0.628 0.222 0.181
H 0.522 0.206 0.565
H 0.478 0.706 0.935
O 0.562 0.780 0.164
H 0.231 0.278 0.009
H 0.794 0.065 0.978
H 0.522 0.294 0.065
H 0.009 0.269 0.778
H 0.222 0.509 0.231
O 0.742 0.742 0.742
H 0.022 0.294 0.435
H 0.372 0.778 0.819
H 0.722 0.181 0.872
Cs 0.500 0.500 0.500
H 0.938 0.476 0.298
H 0.202 0.062 0.976
H 0.231 0.222 0.509
H 0.062 0.976 0.202
O 0.758 0.258 0.242
O 0.501 0.659 0.998
S 0.172 0.672 0.828
O 0.499 0.159 0.502
H 0.991 0.769 0.722
O 0.553 0.289 0.658
O 0.836 0.438 0.220
O 0.158 0.553 0.211
H 0.798 0.938 0.024
O 0.159 0.998 0.999
O 0.002 0.001 0.841
O 0.841 0.002 0.001
H 0.491 0.731 0.278
O 0.789 0.842 0.447
H 0.978 0.706 0.565
O 0.659 0.502 0.001
O 0.158 0.947 0.711
H 0.319 0.128 0.222
H 0.181 0.628 0.222
H 0.938 0.024 0.798
O 0.498 0.999 0.341
H 0.628 0.278 0.681
O 0.053 0.289 0.842
H 0.562 0.524 0.798
H 0.509 0.269 0.722
H 0.065 0.978 0.794
H 0.065 0.522 0.294
O 0.220 0.664 0.938
H 0.435 0.478 0.794
O 0.658 0.947 0.789
S 0.172 0.828 0.328
H 0.202 0.438 0.476
H 0.991 0.731 0.222
O 0.841 0.498 0.501
O 0.438 0.220 0.836
O 0.720 0.836 0.062
H 0.976 0.298 0.562
O 0.502 0.499 0.159
O 0.289 0.658 0.553
Cs 0.500 0.000 0.000
H 0.022 0.206 0.935
H 0.681 0.872 0.778
H 0.872 0.778 0.681
H 0.706 0.565 0.978
H 0.681 0.628 0.278
O 0.998 0.501 0.659
H 0.722 0.509 0.269
O 0.062 0.720 0.836
H 0.062 0.524 0.702
H 0.524 0.798 0.562
O 0.498 0.501 0.841
H 0.294 0.435 0.022
H 0.024 0.702 0.438
H 0.565 0.978 0.706
O 0.836 0.062 0.720
H 0.769 0.778 0.491
H 0.372 0.722 0.319
O 0.659 0.998 0.501
H 0.128 0.222 0.319
O 0.447 0.789 0.842
O 0.062 0.780 0.336
H 0.794 0.435 0.478
O 0.164 0.562 0.780
O 0.842 0.053 0.289
O 0.938 0.280 0.164
H 0.769 0.722 0.991
H 0.181 0.872 0.722
H 0.935 0.478 0.706
O 0.780 0.164 0.562
O 0.742 0.758 0.242
O 0.258 0.258 0.258
H 0.438 0.476 0.202
S 0.672 0.672 0.672
O 0.341 0.002 0.499
O 0.001 0.659 0.502
O 0.999 0.341 0.498
S 0.828 0.172 0.672
O 0.258 0.242 0.758
H 0.731 0.222 0.991
H 0.722 0.991 0.769
O 0.336 0.062 0.780
H 0.222 0.991 0.731
H 0.278 0.681 0.628
O 0.280 0.336 0.438
H 0.128 0.278 0.819
H 0.976 0.202 0.062
O 0.211 0.342 0.053
O 0.159 0.502 0.499
H 0.206 0.565 0.522
H 0.269 0.778 0.009
H 0.009 0.231 0.278
H 0.819 0.372 0.778
H 0.476 0.298 0.938
O 0.947 0.789 0.658
H 0.798 0.562 0.524
O 0.002 0.499 0.341
H 0.438 0.024 0.702
O 0.658 0.553 0.289
O 0.842 0.447 0.789
H 0.222 0.319 0.128
O 0.664 0.562 0.720
H 0.524 0.702 0.062
Ga 0.500 0.000 0.500
H 0.778 0.819 0.372
S 0.328 0.328 0.328
O 0.758 0.242 0.742
O 0.947 0.711 0.158
O 0.501 0.841 0.498
Ga 0.500 0.500 0.000
O 0.720 0.664 0.562
H 0.298 0.562 0.976
O 0.553 0.211 0.158
O 0.438 0.280 0.336
H 0.435 0.022 0.294
S 0.672 0.828 0.172
O 0.447 0.711 0.342
H 0.278 0.819 0.128
O 0.499 0.341 0.002
H 0.778 0.009 0.269
O 0.280 0.164 0.938
H 0.722 0.319 0.372
H 0.706 0.935 0.478
H 0.702 0.438 0.024
H 0.872 0.722 0.181
O 0.242 0.742 0.758
H 0.491 0.769 0.778
H 0.509 0.231 0.222
Cs 0.000 0.000 0.500
O 0.789 0.658 0.947
O 0.562 0.720 0.664
H 0.269 0.722 0.509
H 0.319 0.372 0.722
H 0.778 0.681 0.872
H 0.278 0.009 0.231
H 0.731 0.278 0.491
O 0.342 0.447 0.711
H 0.478 0.794 0.435
O 0.164 0.938 0.280
H 0.562 0.976 0.298
H 0.476 0.202 0.438
S 0.328 0.172 0.828
O 0.999 0.159 0.998
H 0.702 0.062 0.524
O 0.289 0.842 0.053
O 0.711 0.342 0.447
H 0.024 0.798 0.938
O 0.001 0.841 0.002
H 0.298 0.938 0.476
H 0.778 0.491 0.769
O 0.211 0.158 0.553
O 0.780 0.336 0.062
H 0.819 0.128 0.278
Ga 0.000 0.500 0.500
O 0.341 0.498 0.999
H 0.935 0.022 0.206
H 0.565 0.522 0.206
Cs 0.000 0.500 0.000
H 0.206 0.935 0.022
O 0.938 0.220 0.664
O 0.220 0.836 0.438

Computed properties:
Energy of formation from the pure elements = -71.13 eV per formula unit



No. 2
VASP calculation (GGA-PBE) on a geometry-optimized Cs2TlGaH6 structure.

Cell: 6.272 6.272 6.272 Å, 60.00 60.00 60.00°
Fractional positions:
H 0.297 0.297 0.703
Tl 0.000 0.000 0.000
Cs 0.250 0.250 0.250
H 0.703 0.297 0.297
H 0.297 0.703 0.703
H 0.297 0.703 0.297
H 0.703 0.297 0.703
Ga 0.500 0.500 0.500
Cs 0.750 0.750 0.750
H 0.703 0.703 0.297

Computed properties:
Energy of formation from the pure elements = -1.19 eV per formula unit



No. 3
VASP calculation (GGA-PBE) on a geometry-optimized Cs2GaHgI6 structure.

Cell: 8.473 8.473 8.473 Å, 60.00 60.00 60.00°
Fractional positions:
I 0.758 0.242 0.242
I 0.758 0.758 0.242
Cs 0.250 0.250 0.250
Hg 0.500 0.500 0.500
I 0.242 0.758 0.758
I 0.242 0.758 0.242
I 0.242 0.242 0.758
Ga 0.000 0.000 0.000
I 0.758 0.242 0.758
Cs 0.750 0.750 0.750

Computed properties:
Energy of formation from the pure elements = -10.54 eV per formula unit



No. 4
VASP calculation (GGA-PBE) on a geometry-optimized Cs2KGaI6 structure.

Cell: 8.805 8.805 8.805 Å, 60.00 60.00 60.00°
Fractional positions:
K 0.500 0.500 0.500
I 0.773 0.227 0.227
I 0.773 0.773 0.227
I 0.227 0.227 0.773
Cs 0.250 0.250 0.250
Cs 0.750 0.750 0.750
I 0.227 0.773 0.773
I 0.227 0.773 0.227
Ga 0.000 0.000 0.000
I 0.773 0.227 0.773

Computed properties:
Energy of formation from the pure elements = -12.68 eV per formula unit



No. 5
VASP calculation (GGA-PBE) on a geometry-optimized Cs6K3GaSb4 structure.

Cell: 11.168 11.168 11.704 Å, 90.00 90.00 120.00°
Fractional positions:
K 0.119 0.881 0.250
Cs 0.419 0.209 0.458
Cs 0.209 0.419 0.958
K 0.881 0.119 0.750
Cs 0.419 0.209 0.042
Cs 0.791 0.581 0.458
Cs 0.209 0.791 0.958
Cs 0.791 0.581 0.042
Ga 0.667 0.333 0.750
Cs 0.209 0.419 0.542
K 0.881 0.762 0.750
K 0.238 0.119 0.750
K 0.119 0.238 0.250
Cs 0.581 0.791 0.542
Sb 0.473 0.945 0.250
Cs 0.209 0.791 0.542
Cs 0.791 0.209 0.458
Sb 0.000 0.000 0.500
Sb 0.000 0.000 0.000
Sb 0.527 0.473 0.750
Sb 0.945 0.473 0.750
Sb 0.055 0.527 0.250
Cs 0.791 0.209 0.042
K 0.762 0.881 0.250
Ga 0.333 0.667 0.250
Cs 0.581 0.791 0.958
Sb 0.473 0.527 0.250
Sb 0.527 0.055 0.750

Computed properties:
Energy of formation from the pure elements = -6.67 eV per formula unit



No. 6
VASP calculation (GGA-PBE) on a geometry-optimized CsMg6Ga structure.

Cell: 9.378 9.378 4.942 Å, 90.00 90.00 140.83°
Fractional positions:
Mg 0.121 0.879 0.000
Ga 0.438 0.562 0.500
Mg 0.307 0.174 0.500
Mg 0.826 0.693 0.500
Mg 0.609 0.391 0.000
Cs 0.792 0.208 0.500
Mg 0.204 0.297 0.000
Mg 0.703 0.796 0.000

Computed properties:
E above lowest polymorph = 0.00 eV/f.u.
Energy of formation from the pure elements = 1.14 eV per formula unit



Total DFT energy (no corrections) in eV/atom, matching the order above: -5.2076; -2.7659; -2.2533; -2.5478; -2.4389; -1.5479